[1]
Compound: CoBrO
Source: the Materials Project
Functional: PBE with a Hubbard U
Structure: relaxed

Unit cell a=5.881 b=12.676 c=6.362 alpha=90.00 beta=90.00 gamma=90.00
Sites, in units of the cell vectors:
Co 0.208 0.005 0.134
Co 0.208 0.495 0.634
Co 0.292 0.505 0.134
Co 0.292 0.995 0.634
Co 0.708 0.005 0.366
Co 0.708 0.495 0.866
Co 0.792 0.505 0.366
Co 0.792 0.995 0.866
Br 0.069 0.142 0.408
Br 0.069 0.358 0.908
Br 0.431 0.642 0.408
Br 0.431 0.858 0.908
Br 0.569 0.142 0.092
Br 0.569 0.358 0.592
Br 0.931 0.642 0.092
Br 0.931 0.858 0.592
O 0.111 0.048 0.856
O 0.111 0.452 0.356
O 0.389 0.548 0.856
O 0.389 0.952 0.356
O 0.611 0.048 0.644
O 0.611 0.452 0.144
O 0.889 0.548 0.644
O 0.889 0.952 0.144

Computed properties:
Its energy with MP2020 corrections is -5.211 eV per atom. Its polymorph energy (0 for the lowest one) is 0.020 eV per atom. The energy of formation from the pure elements comes out at -0.647 eV/atom. The value obtained for the total magnetic moment is 2.0 μB/f.u.

***

[2]
Compound: CoBr2O6
Source: the Materials Project
Functional: PBE with a Hubbard U
Structure: relaxed

Unit cell a=8.330 b=5.452 c=11.266 alpha=90.00 beta=105.37 gamma=90.00
Sites, in units of the cell vectors:
Co 0.000 0.000 0.000
Co 0.000 0.500 0.000
Br 0.124 0.250 0.554
Br 0.234 0.250 0.105
Br 0.766 0.750 0.895
Br 0.876 0.750 0.446
O 0.042 0.750 0.576
O 0.057 0.750 0.101
O 0.169 0.750 0.847
O 0.267 0.750 0.365
O 0.323 0.750 0.876
O 0.397 0.750 0.449
O 0.603 0.250 0.551
O 0.677 0.250 0.124
O 0.733 0.250 0.635
O 0.831 0.250 0.153
O 0.943 0.250 0.899
O 0.958 0.250 0.424

Computed properties:
Its energy with MP2020 corrections is -4.568 eV per atom. The energy of formation from the pure elements comes out at -0.116 eV/atom. The value obtained for the total magnetic moment is 6.0 μB/f.u.

***

[3]
Compound: CoBrO
Source: the Materials Project
Functional: PBE with a Hubbard U
Structure: relaxed

Unit cell a=5.818 b=6.400 c=12.652 alpha=90.10 beta=90.71 gamma=90.03
Sites, in units of the cell vectors:
Co 0.000 0.000 0.000
Co 0.000 0.499 0.495
Co 0.422 0.263 0.992
Co 0.426 0.764 0.497
Co 0.499 0.762 0.000
Co 0.502 0.263 0.490
Co 0.923 0.500 0.992
Co 0.935 0.012 0.501
Br 0.142 0.214 0.356
Br 0.146 0.722 0.138
Br 0.269 0.044 0.635
Br 0.276 0.541 0.854
Br 0.641 0.539 0.353
Br 0.645 0.042 0.138
Br 0.771 0.716 0.639
Br 0.776 0.220 0.854
O 0.092 0.771 0.452
O 0.100 0.273 0.045
O 0.321 0.989 0.947
O 0.325 0.490 0.542
O 0.601 0.490 0.045
O 0.612 0.988 0.449
O 0.819 0.274 0.546
O 0.821 0.773 0.947

Computed properties:
Its energy with MP2020 corrections is -5.231 eV per atom. Its polymorph energy (0 for the lowest one) is 0.000 eV per atom. The energy of formation from the pure elements comes out at -0.667 eV/atom. The value obtained for the total magnetic moment is 2.0 μB/f.u.

***

> Look up the energy with MP2020 corrections of the second one.

-4.568 eV per atom

***

> Look up the energy with MP2020 corrections of the first one.

-5.211 eV per atom

***

> Number 1 is which compound?

CoBrO